Density functional theory data (PBE) for crystalline TbNbO4 at its relaxed geometry.

Values from the calculation:
DFT formation energy: -3.551 eV/atom
Space-group type: P4/nbm, No. 125

a = 5.4401 Å, b = 5.4401 Å, c = 5.1354 Å
α = 90.00°, β = 90.00°, γ = 90.00°
Fractional positions:
Tb  0.2500  0.2500  0.0000
Tb  0.7500  0.7500  0.0000
Nb  0.2500  0.7500  0.5000
Nb  0.7500  0.2500  0.5000
O  0.0612  0.5612  0.2575
O  0.0612  0.9388  0.7425
O  0.4388  0.5612  0.7425
O  0.4388  0.9388  0.2575
O  0.5612  0.0612  0.7425
O  0.5612  0.4388  0.2575
O  0.9388  0.0612  0.2575
O  0.9388  0.4388  0.7425


Density functional theory data (PBE) for crystalline Tb3NbO7 at its relaxed geometry.

Values from the calculation:
DFT formation energy: -3.718 eV/atom
Magnetization: 0.00 μB/atom
Energy relative to the lowest polymorph listed for this composition: 25 meV per atom
Space-group type: Cmcm, No. 63

a = 6.4754 Å, b = 6.4754 Å, c = 7.5775 Å
α = 90.00°, β = 90.00°, γ = 69.60°
Fractional positions:
Tb  0.0000  0.0000  0.0000
Tb  0.0000  0.0000  0.5000
Tb  0.0561  0.4852  0.7500
Tb  0.4852  0.0561  0.2500
Tb  0.5148  0.9439  0.7500
Tb  0.9439  0.5148  0.2500
Nb  0.5000  0.5000  0.0000
Nb  0.5000  0.5000  0.5000
O  0.1132  0.1519  0.2500
O  0.1519  0.1132  0.7500
O  0.1759  0.5656  0.0336
O  0.1759  0.5656  0.4664
O  0.4232  0.5768  0.7500
O  0.4344  0.8241  0.0336
O  0.4344  0.8241  0.4664
O  0.5656  0.1759  0.5336
O  0.5656  0.1759  0.9664
O  0.5768  0.4232  0.2500
O  0.8241  0.4344  0.5336
O  0.8241  0.4344  0.9664
O  0.8481  0.8868  0.2500
O  0.8868  0.8481  0.7500


Density functional theory data (PBE) for crystalline Nb2Te4O13 at its relaxed geometry.

Values from the calculation:
DFT formation energy: -2.059 eV/atom
Magnetization: 0.00 μB/atom
Space-group type: P-1, No. 2

a = 7.7185 Å, b = 12.9653 Å, c = 13.0044 Å
α = 116.20°, β = 90.29°, γ = 90.20°
Fractional positions:
Nb  0.1043  0.2810  0.4643
Nb  0.1445  0.7981  0.9628
Nb  0.3564  0.2090  0.0486
Nb  0.3943  0.7035  0.5270
Nb  0.6057  0.2965  0.4730
Nb  0.6436  0.7910  0.9514
Nb  0.8555  0.2019  0.0372
Nb  0.8957  0.7190  0.5357
Te  0.0535  0.2341  0.7111
Te  0.1218  0.4681  0.2993
Te  0.1283  0.9850  0.8000
Te  0.1993  0.5478  0.0113
Te  0.2885  0.9473  0.4797
Te  0.3753  0.5519  0.7231
Te  0.3799  0.0512  0.2403
Te  0.4708  0.2684  0.8095
Te  0.5292  0.7316  0.1905
Te  0.6201  0.9488  0.7597
Te  0.6247  0.4481  0.2769
Te  0.7115  0.0527  0.5203
Te  0.8007  0.4522  0.9887
Te  0.8717  0.0150  0.2000
Te  0.8782  0.5319  0.7007
Te  0.9465  0.7659  0.2889
O  0.0403  0.5122  0.1027
O  0.0576  0.4231  0.6211
O  0.0625  0.9291  0.1093
O  0.1070  0.3829  0.3855
O  0.1139  0.8771  0.8671
O  0.1239  0.8991  0.3512
O  0.1254  0.2461  0.0724
O  0.1274  0.7550  0.5637
O  0.1332  0.7041  0.0591
O  0.1355  0.1902  0.5572
O  0.1896  0.1421  0.3289
O  0.1916  0.6389  0.8243
O  0.1962  0.1370  0.7485
O  0.2911  0.3442  0.7699
O  0.3128  0.5642  0.3853
O  0.3210  0.0640  0.8978
O  0.3529  0.6172  0.6199
O  0.3692  0.1192  0.1362
O  0.3741  0.3287  0.5011
O  0.3753  0.5984  0.1462
O  0.3760  0.8318  0.9946
O  0.3792  0.7947  0.4336
O  0.3947  0.3084  0.9620
O  0.4307  0.8514  0.6755
O  0.4360  0.3522  0.1902
O  0.4471  0.9945  0.3982
O  0.5529  0.0055  0.6018
O  0.5640  0.6478  0.8098
O  0.5693  0.1486  0.3245
O  0.6053  0.6916  0.0380
O  0.6208  0.2053  0.5664
O  0.6240  0.1682  0.0054
O  0.6247  0.4016  0.8538
O  0.6259  0.6713  0.4989
O  0.6308  0.8808  0.8638
O  0.6471  0.3828  0.3801
O  0.6790  0.9360  0.1022
O  0.6872  0.4358  0.6147
O  0.7089  0.6558  0.2301
O  0.8038  0.8630  0.2515
O  0.8084  0.3611  0.1757
O  0.8104  0.8579  0.6711
O  0.8645  0.8098  0.4428
O  0.8668  0.2959  0.9409
O  0.8726  0.2450  0.4363
O  0.8746  0.7539  0.9276
O  0.8761  0.1009  0.6488
O  0.8861  0.1229  0.1329
O  0.8930  0.6172  0.6145
O  0.9375  0.0709  0.8907
O  0.9424  0.5769  0.3789
O  0.9597  0.4878  0.8973


Density functional theory data (PBE) for crystalline NbTlTeO6 at its relaxed geometry.

Values from the calculation:
DFT formation energy: -2.057 eV/atom
Magnetization: 0.00 μB/atom
Space-group type: Ima2, No. 46

a = 7.3863 Å, b = 7.3863 Å, c = 7.3863 Å
α = 120.53°, β = 90.75°, γ = 118.62°
Fractional positions:
Nb  0.2398  0.2500  0.4898
Nb  0.7602  0.7500  0.5102
Tl  0.5589  0.9531  0.1058
Tl  0.8473  0.4531  0.8942
Te  0.2730  0.2730  0.0000
Te  0.2730  0.7730  0.5000
O  0.2029  0.5256  0.1772
O  0.2117  0.1428  0.1765
O  0.2117  0.5352  0.5690
O  0.3352  0.0125  0.4317
O  0.3352  0.4035  0.8227
O  0.3484  0.0256  0.8228
O  0.5808  0.5125  0.1773
O  0.5808  0.9035  0.5683
O  0.5852  0.5182  0.5670
O  0.9511  0.0182  0.4330
O  0.9663  0.0352  0.8235
O  0.9663  0.6428  0.4310


Density functional theory data (PBE) for crystalline Ti3NbO8 at its relaxed geometry.

Values from the calculation:
DFT formation energy: -3.321 eV/atom
Magnetization: 0.03 μB/atom
Energy relative to the lowest polymorph listed for this composition: 2 meV per atom
Space-group type: P-1, No. 2

a = 4.7251 Å, b = 6.0090 Å, c = 9.9124 Å
α = 72.36°, β = 89.55°, γ = 89.97°
Fractional positions:
Ti  0.0000  0.0000  0.0000
Ti  0.0000  0.5000  0.0000
Ti  0.0019  0.2378  0.5030
Ti  0.4955  0.8767  0.7533
Ti  0.5045  0.1233  0.2467
Ti  0.9981  0.7622  0.4970
Nb  0.4975  0.6201  0.2519
Nb  0.5025  0.3799  0.7481
O  0.1924  0.2969  0.9026
O  0.1945  0.5459  0.4044
O  0.1958  0.0461  0.4031
O  0.1976  0.7989  0.9030
O  0.2990  0.9256  0.1532
O  0.3031  0.4200  0.1505
O  0.3033  0.6775  0.6506
O  0.3057  0.1721  0.6502
O  0.6943  0.8279  0.3498
O  0.6967  0.3225  0.3494
O  0.6969  0.5800  0.8495
O  0.7010  0.0744  0.8468
O  0.8024  0.2011  0.0970
O  0.8042  0.9539  0.5969
O  0.8055  0.4541  0.5956
O  0.8076  0.7031  0.0974


Density functional theory data (PBE) for crystalline TiNbO4 at its relaxed geometry.

Values from the calculation:
DFT formation energy: -3.175 eV/atom
Magnetization: 0.06 μB/atom
Space-group type: Cmmm, No. 65

a = 4.8030 Å, b = 4.8030 Å, c = 2.9894 Å
α = 90.00°, β = 90.00°, γ = 91.27°
Fractional positions:
Ti  0.0000  0.0000  0.0000
Nb  0.5000  0.5000  0.5000
O  0.1957  0.1957  0.5000
O  0.2912  0.7088  0.0000
O  0.7088  0.2912  0.0000
O  0.8043  0.8043  0.5000